No. 1
Crystalline Ti5Fe11O24 at its relaxed geometry. Source: Materials Project, functional PBE+U.

energy relative to the lowest polymorph listed for this composition	0	meV per atom
E_form	-222	kJ per mole of atoms
total DFT energy (no corrections)	-7.5540	eV/atom
total magnetization	50.0	μB/cell

a b c (Å): 7.571 7.586 8.940
angles (deg): 66.79 66.76 85.85
Fractional coordinates of all 40 atoms:
Ti  0.000  0.000  0.000
Ti  0.063  0.062  0.298
Ti  0.315  0.810  0.789
Ti  0.563  0.560  0.293
Ti  0.812  0.312  0.793
Fe  0.004  0.496  0.000
Fe  0.066  0.563  0.292
Fe  0.251  0.250  0.504
Fe  0.252  0.746  0.502
Fe  0.319  0.316  0.794
Fe  0.498  0.997  0.000
Fe  0.508  0.505  0.999
Fe  0.564  0.065  0.290
Fe  0.752  0.252  0.498
Fe  0.752  0.749  0.500
Fe  0.818  0.813  0.787
O  0.009  0.302  0.880
O  0.069  0.759  0.389
O  0.082  0.747  0.051
O  0.094  0.733  0.743
O  0.215  0.093  0.056
O  0.242  0.065  0.758
O  0.257  0.056  0.381
O  0.323  0.510  0.890
O  0.334  0.495  0.240
O  0.341  0.485  0.552
O  0.475  0.846  0.553
O  0.494  0.818  0.256
O  0.501  0.807  0.883
O  0.566  0.256  0.390
O  0.587  0.235  0.048
O  0.587  0.238  0.740
O  0.718  0.583  0.064
O  0.743  0.560  0.753
O  0.757  0.556  0.381
O  0.824  0.010  0.900
O  0.837  0.993  0.229
O  0.841  0.995  0.533
O  0.973  0.340  0.555
O  0.999  0.323  0.248

No. 2
Crystalline Rb2MgMo2P2Cl2O10 at its relaxed geometry. Source: Materials Project, functional PBE+U.

E_form	-221	kJ per mole of atoms
total DFT energy (no corrections)	-6.2913	eV/atom
total magnetization	4.0	μB/cell

a b c (Å): 6.676 6.676 7.605
angles (deg): 97.33 97.33 92.03
Fractional coordinates of all 19 atoms:
Rb  0.186  0.814  0.000
Rb  0.814  0.186  0.000
Mg  0.489  0.489  0.285
Mo  0.325  0.325  0.640
Mo  0.809  0.809  0.466
P  0.308  0.806  0.549
P  0.806  0.308  0.549
Cl  0.325  0.325  0.998
Cl  0.708  0.708  0.109
O  0.014  0.338  0.664
O  0.111  0.787  0.416
O  0.313  0.313  0.396
O  0.320  0.645  0.679
O  0.338  0.014  0.664
O  0.478  0.769  0.424
O  0.645  0.320  0.679
O  0.769  0.478  0.424
O  0.787  0.111  0.416
O  0.858  0.858  0.707

Number 1: ρ 4.76 g/cm³. Number 2: ρ 3.39 g/cm³.